The following is a GGA-PBE calculation of an optimized crystal structure of Zn4InS6, from the Materials Project database.

Summary:
* mass density: 3.96 g/cm3
* calculated total energy: -3.56 eV/atom
* crystal system: trigonal

Lattice parameters (Å, degrees): 3.8493 3.8493 18.5920 90.00 90.00 120.00
With the nearest neighbours (Å) after each atom.
Space group P-3m1 (No. 164)
Asymmetric unit:
Zn (0.3333, 0.6667, 0.1254) [2 per cell]  4 S 2.34-2.42
Zn (0.3333, 0.6667, 0.7024) [2 per cell]  4 S 2.35-2.36
In (0.0000, 0.0000, 0.5000) [1 per cell]  6 S 2.64
S (0.3333, 0.6667, 0.2554) [2 per cell]  4 Zn 2.36-2.42
S (0.3333, 0.6667, 0.5762) [2 per cell]  1 Zn 2.35
S (0.3333, 0.6667, 0.9145) [2 per cell]  3 Zn 2.34

The following is a GGA-PBE calculation of an optimized crystal structure of Zn2In2S5, from the Materials Project database.

Summary:
* mass density: 4.18 g/cm3
* calculated total energy: -3.78 eV/atom
* energy above the lowest structure with this stoichiometry: 0.000 eV/atom
* crystal system: hexagonal

Lattice parameters (Å, degrees): 3.9214 3.9214 31.0452 90.00 90.00 120.00
With the nearest neighbours (Å) after each atom.
Space group P6_3mc (No. 186)
Asymmetric unit:
Zn (0.3333, 0.6667, 0.0000) [2 per cell]  4 S 2.25-2.42
Zn (0.3333, 0.6667, 0.2562) [2 per cell]  4 S 2.35-2.53
In (0.0000, 0.0000, 0.3794) [2 per cell]  6 S 2.61-2.71
In (0.3333, 0.6667, 0.6087) [2 per cell]  4 S 2.49-2.51
S (0.3333, 0.6667, 0.1424) [2 per cell]  3 In 2.49
S (0.3333, 0.6667, 0.3376) [2 per cell]  1 Zn 2.53, 3 In 2.61
S (0.3333, 0.6667, 0.5279) [2 per cell]  3 Zn 2.42, 1 In 2.51
S (0.3333, 0.6667, 0.7361) [2 per cell]  3 Zn 2.35
S (0.3333, 0.6667, 0.9276) [2 per cell]  1 Zn 2.25

The following is a GGA-PBE calculation of an optimized crystal structure of InSb, from the Materials Project database.

Summary:
* mass density: 6.94 g/cm3
* calculated total energy: -3.40 eV/atom
* crystal system: orthorhombic

Lattice parameters (Å, degrees): 5.9204 5.9380 3.2225 90.00 90.00 90.00
With the nearest neighbours (Å) after each atom.
Space group Pmmn (No. 59, origin choice 2)
Asymmetric unit:
In (0.2500, 0.2500, 0.0088) [2 per cell]  4 Sb 3.09-3.10, 2 In 3.22
Sb (0.2500, 0.7500, 0.2770) [2 per cell]  4 In 3.09-3.10, 2 Sb 3.22

The following is a GGA-PBE calculation of an optimized crystal structure of InSb, from the Materials Project database.

Summary:
* mass density: 6.79 g/cm3
* calculated total energy: -3.41 eV/atom
* crystal system: orthorhombic

Lattice parameters (Å, degrees): 6.1266 6.1627 6.1269 90.00 90.00 90.00
With the nearest neighbours (Å) after each atom.
Space group Cmcm (No. 63)
Asymmetric unit:
In (0.0000, 0.2206, 0.2500) [4 per cell]  6 Sb 3.06-3.09
Sb (0.0000, 0.2772, 0.7500) [4 per cell]  6 In 3.06-3.09

The following is a GGA-PBE calculation of an optimized crystal structure of InSb, from the Materials Project database.

Summary:
* mass density: 5.38 g/cm3
* maximum piezoelectric response: 0.2 C/m²
* calculated total energy: -3.55 eV/atom
* crystal system: cubic

Lattice parameters (Å, degrees): 6.6332 6.6332 6.6332 90.00 90.00 90.00
With the nearest neighbours (Å) after each atom.
Space group F-43m (No. 216)
Asymmetric unit:
In (0.0000, 0.0000, 0.0000) [4 per cell]  4 Sb 2.87
Sb (0.2500, 0.2500, 0.2500) [4 per cell]  4 In 2.87

The following is a GGA-PBE calculation of an optimized crystal structure of InSb, from the Materials Project database.

Summary:
* mass density: 5.37 g/cm3
* calculated total energy: -3.54 eV/atom
* crystal system: hexagonal

Lattice parameters (Å, degrees): 4.6807 4.6807 7.7132 90.00 90.00 120.00
With the nearest neighbours (Å) after each atom.
Space group P6_3mc (No. 186)
Asymmetric unit:
In (0.3333, 0.6667, 0.0000) [2 per cell]  4 Sb 2.87-2.89
Sb (0.3333, 0.6667, 0.3742) [2 per cell]  4 In 2.87-2.89

The following is a GGA-PBE calculation of an optimized crystal structure of InSb, from the Materials Project database.

Summary:
* mass density: 6.77 g/cm3
* calculated total energy: -3.43 eV/atom
* crystal system: orthorhombic

Lattice parameters (Å, degrees): 6.0783 6.3572 18.0165 90.00 90.00 90.00
With the nearest neighbours (Å) after each atom.
Space group Cmcm (No. 63)
Asymmetric unit:
In (0.0000, 0.0797, 0.2500) [4 per cell]  6 Sb 3.04-3.30
In (0.0000, 0.4138, 0.0898) [8 per cell]  5 Sb 3.05-3.22, 1 In 3.42
Sb (0.0000, 0.0812, 0.5761) [8 per cell]  1 Sb 2.93, 4 In 3.05-3.22
Sb (0.0000, 0.4228, 0.7500) [4 per cell]  6 In 3.04-3.19

The following is a GGA-PBE calculation of an optimized crystal structure of InSb, from the Materials Project database.

Summary:
* mass density: 6.90 g/cm3
* calculated total energy: -3.43 eV/atom
* crystal system: orthorhombic

Lattice parameters (Å, degrees): 5.8531 6.1589 3.1608 90.00 90.00 90.00
With the nearest neighbours (Å) after each atom.
Space group Imm2 (No. 44)
Asymmetric unit:
In (0.0000, 0.0000, 0.0000) [2 per cell]  6 Sb 3.08-3.41, 2 In 3.16
Sb (0.0000, 0.5000, 0.0539) [2 per cell]  6 In 3.08-3.41, 2 Sb 3.16

The following is a GGA-PBE calculation of an optimized crystal structure of In2Sb, from the Materials Project database.

Summary:
* mass density: 6.93 g/cm3
* calculated total energy: -3.20 eV/atom
* crystal system: hexagonal

Lattice parameters (Å, degrees): 5.3799 5.3799 6.7226 90.00 90.00 120.00
With the nearest neighbours (Å) after each atom.
Space group P6_3/mmc (No. 194)
Asymmetric unit:
In (0.0000, 0.0000, 0.0000) [2 per cell]  8 In 3.36-3.53, 6 Sb 3.53
In (0.3333, 0.6667, 0.2500) [2 per cell]  5 Sb 3.11-3.36
Sb (0.3333, 0.6667, 0.7500) [2 per cell]  5 In 3.11-3.36

The following is a GGA-PBE calculation of an optimized crystal structure of InSb, from the Materials Project database.

Summary:
* mass density: 7.12 g/cm3
* calculated total energy: -3.33 eV/atom
* crystal system: cubic

Lattice parameters (Å, degrees): 3.8077 3.8077 3.8077 90.00 90.00 90.00
With the nearest neighbours (Å) after each atom.
Space group Pm-3m (No. 221)
Asymmetric unit:
In (0.0000, 0.0000, 0.0000) [1 per cell]  8 Sb 3.30
Sb (0.5000, 0.5000, 0.5000) [1 per cell]  8 In 3.30

The following is a GGA-PBE calculation of an optimized crystal structure of InSb, from the Materials Project database.

Summary:
* mass density: 6.77 g/cm3
* calculated total energy: -3.42 eV/atom
* crystal system: cubic

Lattice parameters (Å, degrees): 6.1470 6.1470 6.1470 90.00 90.00 90.00
With the nearest neighbours (Å) after each atom.
Space group Fm-3m (No. 225)
Asymmetric unit:
In (0.0000, 0.0000, 0.0000) [4 per cell]  6 Sb 3.07
Sb (0.0000, 0.0000, 0.5000) [4 per cell]  6 In 3.07

The following is a GGA-PBE calculation of an optimized crystal structure of InSb, from the Materials Project database.

Summary:
* mass density: 6.68 g/cm3
* calculated total energy: -3.36 eV/atom
* crystal system: tetragonal

Lattice parameters (Å, degrees): 3.0767 3.0767 6.2155 90.00 90.00 90.00
With the nearest neighbours (Å) after each atom.
Space group P4/mmm (No. 123)
Asymmetric unit:
In (0.0000, 0.0000, 0.0000) [1 per cell]  4 In 3.08, 2 Sb 3.11
Sb (0.0000, 0.0000, 0.5000) [1 per cell]  4 Sb 3.08, 2 In 3.11

Here are the calculated ΔH_f (0 K) numbers, same order: -0.8702; -0.8720; -0.0603; -0.0679; -0.2091; -0.1922; -0.0879; -0.0893; -0.0507; 0.0168; -0.0711; -0.0183 (eV per atom).